Record 1
VASP calculation (PBE) on a relaxed CsRb2YF6 crystal.

a b c (Å): 7.078 7.078 7.078
angles (deg): 60.00 60.00 60.00
Atoms (fractional coordinates):
1 F 0.219 0.781 0.781
2 F 0.781 0.219 0.781
3 F 0.219 0.219 0.781
4 F 0.781 0.781 0.219
5 F 0.219 0.781 0.219
6 F 0.781 0.219 0.219
7 Cs 0.500 0.500 0.500
8 Rb 0.250 0.250 0.250
9 Rb 0.750 0.750 0.750
10 Y 0.000 0.000 0.000

Output
formation energy from the elements = -3.485 eV per atom
total magnetization = 0.00 μB/atom

Record 2
VASP calculation (PBE) on a relaxed Mg6ZrB crystal.

a b c (Å): 6.836 6.836 4.579
angles (deg): 90.00 90.00 132.18
Atoms (fractional coordinates):
1 B 0.360 0.640 0.500
2 Mg 0.173 0.332 0.000
3 Mg 0.811 0.693 0.500
4 Mg 0.215 0.785 0.000
5 Mg 0.307 0.189 0.500
6 Mg 0.668 0.827 0.000
7 Mg 0.655 0.345 0.000
8 Zr 0.811 0.189 0.500

Output
formation energy from the elements = 0.313 eV per atom
energy above the lowest structure with this stoichiometry = 17 meV per atom
total magnetization = 0.00 μB/atom

Record 3
VASP calculation (PBE) on a relaxed K6Te2P6H12O33 crystal.

a b c (Å): 13.939 13.939 13.939
angles (deg): 56.68 56.68 56.68
Atoms (fractional coordinates):
1 O 0.842 0.255 0.068
2 O 0.432 0.245 0.658
3 O 0.929 0.756 0.993
4 O 0.429 0.493 0.256
5 O 0.244 0.007 0.071
6 O 0.345 0.913 0.737
7 O 0.750 0.961 0.539
8 O 0.294 0.536 0.622
9 O 0.155 0.763 0.587
10 O 0.961 0.539 0.750
11 O 0.744 0.571 0.507
12 O 0.772 0.536 0.704
13 O 0.237 0.413 0.845
14 O 0.658 0.432 0.245
15 O 0.250 0.039 0.461
16 O 0.263 0.655 0.087
17 O 0.913 0.737 0.345
18 O 0.204 0.036 0.272
19 O 0.704 0.772 0.536
20 O 0.745 0.932 0.158
21 O 0.378 0.706 0.464
22 O 0.755 0.342 0.568
23 O 0.464 0.296 0.228
24 O 0.845 0.237 0.413
25 O 0.158 0.745 0.932
26 O 0.068 0.842 0.255
27 O 0.571 0.507 0.744
28 O 0.036 0.272 0.204
29 O 0.039 0.461 0.250
30 O 0.228 0.464 0.296
31 O 0.536 0.622 0.294
32 O 0.964 0.206 0.878
33 O 0.256 0.429 0.493
34 O 0.087 0.263 0.655
35 O 0.993 0.929 0.756
36 O 0.796 0.964 0.728
37 O 0.964 0.728 0.796
38 O 0.464 0.378 0.706
39 O 0.706 0.464 0.378
40 O 0.655 0.087 0.263
41 O 0.007 0.071 0.244
42 O 0.507 0.744 0.571
43 O 0.206 0.878 0.964
44 O 0.493 0.256 0.429
45 O 0.587 0.155 0.763
46 O 0.737 0.345 0.913
47 O 0.763 0.587 0.155
48 O 0.255 0.068 0.842
49 O 0.568 0.755 0.342
50 O 0.728 0.796 0.964
51 O 0.794 0.122 0.036
52 O 0.413 0.845 0.237
53 O 0.296 0.228 0.464
54 O 0.036 0.794 0.122
55 O 0.622 0.294 0.536
56 O 0.756 0.993 0.929
57 O 0.536 0.704 0.772
58 O 0.539 0.750 0.961
59 O 0.122 0.036 0.794
60 O 0.071 0.244 0.007
61 O 0.461 0.250 0.039
62 O 0.932 0.158 0.745
63 O 0.878 0.964 0.206
64 O 0.245 0.658 0.432
65 O 0.272 0.204 0.036
66 O 0.342 0.568 0.755
67 H 0.462 0.780 0.758
68 H 0.780 0.758 0.462
69 H 0.738 0.489 0.537
70 H 0.720 0.038 0.742
71 H 0.220 0.242 0.538
72 H 0.989 0.238 0.037
73 H 0.262 0.511 0.463
74 H 0.238 0.037 0.989
75 H 0.742 0.720 0.038
76 H 0.489 0.537 0.738
77 H 0.538 0.220 0.242
78 H 0.962 0.258 0.280
79 H 0.511 0.463 0.262
80 H 0.242 0.538 0.220
81 H 0.037 0.989 0.238
82 H 0.537 0.738 0.489
83 H 0.038 0.742 0.720
84 H 0.758 0.462 0.780
85 H 0.011 0.762 0.963
86 H 0.258 0.280 0.962
87 H 0.762 0.963 0.011
88 H 0.963 0.011 0.762
89 H 0.280 0.962 0.258
90 H 0.463 0.262 0.511
91 K 0.186 0.314 0.750
92 K 0.500 0.500 0.000
93 K 0.314 0.750 0.186
94 K 0.000 0.000 0.500
95 K 0.814 0.686 0.250
96 K 0.000 0.500 0.500
97 K 0.750 0.186 0.314
98 K 0.250 0.814 0.686
99 K 0.500 0.000 0.500
100 K 0.000 0.500 0.000
101 K 0.686 0.250 0.814
102 K 0.500 0.000 0.000
103 P 0.673 0.522 0.258
104 P 0.327 0.478 0.742
105 P 0.742 0.327 0.478
106 P 0.173 0.758 0.022
107 P 0.022 0.173 0.758
108 P 0.522 0.258 0.673
109 P 0.827 0.242 0.978
110 P 0.242 0.978 0.827
111 P 0.478 0.742 0.327
112 P 0.258 0.673 0.522
113 P 0.758 0.022 0.173
114 P 0.978 0.827 0.242
115 Te 0.861 0.861 0.861
116 Te 0.639 0.639 0.639
117 Te 0.139 0.139 0.139
118 Te 0.361 0.361 0.361

Output
formation energy from the elements = -1.822 eV per atom
total magnetization = 0.10 μB/atom